AlCoO3: relaxed, PBE+U.

Formation energy   -2.230 eV per atom
E_tot   -6.630 eV per atom
Symmetry   No. 1
Spin magnetization   2.0 μB per formula unit

Cell: 4.8468 4.8718 5.2027 Å, 64.27 89.90 61.06°
With the nearest neighbours (Å) after each atom.
Positions (direct):
Al (0.0000, 0.0000, 0.0000)  6 O 1.86-2.02
Al (0.3105, 0.3904, 0.9119)  6 O 1.85-1.99
Co (0.5028, 0.9708, 0.5180)  4 O 1.89-2.02
Co (0.8025, 0.4128, 0.4009)  5 O 1.88-2.06
O (0.0762, 0.5328, 0.1836)  2 Al 1.88-1.96, 1 Co 1.88
O (0.2219, 0.8556, 0.7280)  2 Al 1.85-1.94, 1 Co 1.89
O (0.3840, 0.9195, 0.1802)  2 Al 1.86-1.94, 2 Co 2.00-2.06
O (0.6000, 0.2064, 0.7027)  2 Al 1.89-1.98, 2 Co 1.99-2.00
O (0.7151, 0.2069, 0.1940)  2 Al 1.86-1.99, 1 Co 1.92
O (0.9268, 0.4844, 0.7067)  2 Al 1.89-2.02, 2 Co 1.92-2.02